Entry 1:
{"formula": "K3NaMgCr2O8", "functional": "PBE+U", "state": "relaxed", "de_polymorph_ev_per_atom": 0.000, "delta_e_f_kcal_per_mol_atoms": -47.15, "cell": [[5.065, -3.310, 0.000], [5.065, 3.310, 0.000], [-0.198, 0.000, 7.699]], "species": ["K", "K", "K", "Na", "Mg", "Cr", "Cr", "O", "O", "O", "O", "O", "O", "O", "O"], "fractional_positions": [[0.000, 0.000, 0.000], [0.155, 0.483, 0.335], [0.517, 0.845, 0.665], [0.876, 0.124, 0.500], [0.516, 0.484, 0.000], [0.189, 0.465, 0.767], [0.535, 0.811, 0.233], [0.052, 0.739, 0.674], [0.099, 0.250, 0.697], [0.178, 0.506, 0.996], [0.261, 0.948, 0.326], [0.494, 0.822, 0.004], [0.513, 0.363, 0.756], [0.637, 0.487, 0.244], [0.750, 0.901, 0.303]]}

Entry 2:
{"formula": "KMg6CrO8", "functional": "PBE+U", "state": "relaxed", "de_polymorph_ev_per_atom": 0.011, "delta_e_f_kcal_per_mol_atoms": -58.13, "cell": [[4.415, 0.000, 0.000], [0.000, 4.415, 0.000], [0.000, 0.000, 8.739]], "species": ["K", "Mg", "Mg", "Mg", "Mg", "Mg", "Mg", "Cr", "O", "O", "O", "O", "O", "O", "O", "O"], "fractional_positions": [[0.000, 0.000, 0.000], [0.000, 0.000, 0.500], [0.000, 0.500, 0.254], [0.000, 0.500, 0.746], [0.500, 0.000, 0.254], [0.500, 0.000, 0.746], [0.500, 0.500, 0.500], [0.500, 0.500, 0.000], [0.000, 0.000, 0.276], [0.000, 0.000, 0.724], [0.000, 0.500, 0.000], [0.000, 0.500, 0.500], [0.500, 0.000, 0.000], [0.500, 0.000, 0.500], [0.500, 0.500, 0.238], [0.500, 0.500, 0.762]]}

Entry 3:
{"formula": "K6MgCr2O8", "functional": "PBE+U", "state": "relaxed", "delta_e_f_kcal_per_mol_atoms": -44.62, "cell": [[5.553, 0.000, 0.000], [0.000, 5.964, 0.000], [0.000, 0.000, 10.625]], "species": ["K", "K", "K", "K", "K", "K", "Mg", "Cr", "Cr", "O", "O", "O", "O", "O", "O", "O", "O"], "fractional_positions": [[0.000, 0.000, 0.000], [0.000, 0.500, 0.264], [0.000, 0.500, 0.736], [0.500, 0.000, 0.212], [0.500, 0.000, 0.788], [0.500, 0.500, 0.500], [0.500, 0.000, 0.500], [0.000, 0.000, 0.500], [0.500, 0.500, 0.000], [0.246, 0.162, 0.593], [0.246, 0.838, 0.407], [0.312, 0.329, 0.089], [0.312, 0.671, 0.911], [0.688, 0.329, 0.911], [0.688, 0.671, 0.089], [0.754, 0.162, 0.407], [0.754, 0.838, 0.593]]}

- Number 2 is which compound?
  KMg6CrO8

- What is the formula in the second record?
  KMg6CrO8